Model w:
A relaxed MgSi2SnO6 crystal. Source: the Materials Project, functional GGA-PBE.

CIF file:
```
data_MgSi2SnO6
_chemical_formula_sum 'Mg8 Si16 Sn8 O48'
_cell_length_a 5.4470
_cell_length_b 19.4161
_cell_length_c 9.2525
_cell_angle_alpha 90.00
_cell_angle_beta 90.00
_cell_angle_gamma 90.00
_space_group_name_H-M_alt 'P b c a'
_space_group_IT_number 61
loop_
_space_group_symop_operation_xyz
'x,y,z'
'-x,-y,-z'
'-x+1/2,-y,z+1/2'
'x+1/2,y,-z+1/2'
'x+1/2,-y+1/2,-z'
'-x+1/2,y+1/2,z'
'-x,y+1/2,-z+1/2'
'x,-y+1/2,z+1/2'
loop_
_atom_site_label
_atom_site_type_symbol
_atom_site_fract_x
_atom_site_fract_y
_atom_site_fract_z
Mg1 Mg 0.1204 0.1255 0.1484
Si1 Si 0.0236 0.7348 0.6601
Si2 Si 0.1958 0.0162 0.8388
Sn1 Sn 0.1219 0.1203 0.5314
O1 O 0.0359 0.6947 0.5062
O2 O 0.0413 0.6800 0.1609
O3 O 0.0675 0.5413 0.7356
O4 O 0.2055 0.5692 0.3314
O5 O 0.2299 0.0536 0.9933
O6 O 0.2319 0.2106 0.7563
```

***

Model x:
A relaxed MgSi2SnO6 crystal. Source: the Materials Project, functional GGA-PBE.

CIF file:
```
data_MgSi2SnO6
_chemical_formula_sum 'Mg4 Si8 Sn4 O24'
_cell_length_a 10.8047
_cell_length_b 9.8244
_cell_length_c 5.5121
_cell_angle_alpha 90.00
_cell_angle_beta 109.74
_cell_angle_gamma 90.00
_space_group_name_H-M_alt 'C 1 2/c 1'
_space_group_IT_number 15
loop_
_space_group_symop_operation_xyz
'x,y,z'
'-x,-y,-z'
'-x,y,-z+1/2'
'x,-y,z+1/2'
'x+1/2,y+1/2,z'
'-x+1/2,-y+1/2,-z'
'-x+1/2,y+1/2,-z+1/2'
'x+1/2,-y+1/2,z+1/2'
loop_
_atom_site_label
_atom_site_type_symbol
_atom_site_fract_x
_atom_site_fract_y
_atom_site_fract_z
Mg1 Mg 0.0000 0.2238 0.2500
Si1 Si 0.2209 0.0938 0.7200
Sn1 Sn 0.0000 0.3617 0.7500
O1 O 0.0940 0.1955 0.6191
O2 O 0.1402 0.3257 0.1734
O3 O 0.2064 0.0036 0.4553
```

***

Stability summary: most stable model w, least stable model x.

***

Model w:
A relaxed Mg6TiSiO8 crystal. Source: the Materials Project, functional GGA-PBE.

CIF file:
```
data_Mg6TiSiO8
_chemical_formula_sum 'Mg6 Ti1 Si1 O8'
_cell_length_a 4.3143
_cell_length_b 4.3143
_cell_length_c 8.7488
_cell_angle_alpha 90.00
_cell_angle_beta 90.00
_cell_angle_gamma 90.00
_space_group_name_H-M_alt 'P 4/m m m'
_space_group_IT_number 123
_space_group_name_Hall '-P 4 2'
loop_
_atom_site_label
_atom_site_type_symbol
_atom_site_fract_x
_atom_site_fract_y
_atom_site_fract_z
Mg1 Mg 0.0000 0.0000 0.0000
Mg2 Mg 0.0000 0.0000 0.5000
Mg3 Mg 0.0000 0.5000 0.2494
Ti1 Ti 0.5000 0.5000 0.0000
Si1 Si 0.5000 0.5000 0.5000
O1 O 0.0000 0.0000 0.2506
O2 O 0.0000 0.5000 0.0000
O3 O 0.0000 0.5000 0.5000
O4 O 0.5000 0.5000 0.2464
```

***

Model x:
A relaxed Mg6TiSiO8 crystal. Source: the Materials Project, functional GGA-PBE.

CIF file:
```
data_Mg6TiSiO8
_chemical_formula_sum 'Mg6 Ti1 Si1 O8'
_cell_length_a 4.3182
_cell_length_b 4.3182
_cell_length_c 8.7317
_cell_angle_alpha 90.00
_cell_angle_beta 90.00
_cell_angle_gamma 90.00
_space_group_name_H-M_alt 'P 4/m m m'
_space_group_IT_number 123
_space_group_name_Hall '-P 4 2'
loop_
_atom_site_label
_atom_site_type_symbol
_atom_site_fract_x
_atom_site_fract_y
_atom_site_fract_z
Mg1 Mg 0.0000 0.0000 0.0000
Mg2 Mg 0.0000 0.5000 0.2443
Mg3 Mg 0.5000 0.5000 0.0000
Ti1 Ti 0.0000 0.0000 0.5000
Si1 Si 0.5000 0.5000 0.5000
O1 O 0.0000 0.0000 0.2437
O2 O 0.0000 0.5000 0.0000
O3 O 0.0000 0.5000 0.5000
O4 O 0.5000 0.5000 0.2370
```

***

Stability summary: most stable model x, least stable model w.

***

Model w:
A relaxed MgTiSi2O6 crystal. Source: the Materials Project, functional GGA-PBE.

CIF file:
```
data_MgTiSi2O6
_chemical_formula_sum 'Mg8 Ti8 Si16 O48'
_cell_length_a 5.3122
_cell_length_b 18.5477
_cell_length_c 9.0441
_cell_angle_alpha 90.00
_cell_angle_beta 90.00
_cell_angle_gamma 90.00
_space_group_name_H-M_alt 'P b c a'
_space_group_IT_number 61
loop_
_space_group_symop_operation_xyz
'x,y,z'
'-x,-y,-z'
'-x+1/2,-y,z+1/2'
'x+1/2,y,-z+1/2'
'x+1/2,-y+1/2,-z'
'-x+1/2,y+1/2,z'
'-x,y+1/2,-z+1/2'
'x,-y+1/2,z+1/2'
loop_
_atom_site_label
_atom_site_type_symbol
_atom_site_fract_x
_atom_site_fract_y
_atom_site_fract_z
Mg1 Mg 0.1230 0.1249 0.1546
Ti1 Ti 0.1344 0.1214 0.5220
Si1 Si 0.0533 0.7298 0.6598
Si2 Si 0.2024 0.0251 0.8364
O1 O 0.0467 0.6822 0.1636
O2 O 0.0481 0.6905 0.5006
O3 O 0.0948 0.5516 0.7031
O4 O 0.1714 0.1988 0.7278
O5 O 0.2082 0.5636 0.3359
O6 O 0.2128 0.5648 0.9868
```

***

Model x:
A relaxed MgTiSi2O6 crystal. Source: the Materials Project, functional GGA-PBE.

CIF file:
```
data_MgTiSi2O6
_chemical_formula_sum 'Mg4 Ti4 Si8 O24'
_cell_length_a 9.9385
_cell_length_b 9.1944
_cell_length_c 5.2208
_cell_angle_alpha 90.00
_cell_angle_beta 106.72
_cell_angle_gamma 90.00
_space_group_name_H-M_alt 'C 1 2/c 1'
_space_group_IT_number 15
loop_
_space_group_symop_operation_xyz
'x,y,z'
'-x,-y,-z'
'-x,y,-z+1/2'
'x,-y,z+1/2'
'x+1/2,y+1/2,z'
'-x+1/2,-y+1/2,-z'
'-x+1/2,y+1/2,-z+1/2'
'x+1/2,-y+1/2,z+1/2'
loop_
_atom_site_label
_atom_site_type_symbol
_atom_site_fract_x
_atom_site_fract_y
_atom_site_fract_z
Mg1 Mg 0.0000 0.2425 0.2500
Ti1 Ti 0.0000 0.4178 0.7500
Si1 Si 0.1997 0.0921 0.7460
O1 O 0.1169 0.2396 0.6299
O2 O 0.1275 0.3970 0.1589
O3 O 0.1499 0.0325 0.0049
```

***

Stability summary: most stable model x, least stable model w.